1.
! Li6Co5P8O28, relaxed, DFT PBE+U; values from VASP
&SYSTEM
  ibrav = 0, nat = 47, ntyp = 4
/
ATOMIC_SPECIES
Li 6.94 Li.upf
Co 58.93 Co.upf
P 30.97 P.upf
O 16.00 O.upf
ATOMIC_POSITIONS crystal
Li 0.0000 0.5000 0.5000
Li 0.0192 0.1625 0.6093
Li 0.0931 0.6070 0.1242
Li 0.5000 0.5000 0.5000
Li 0.9069 0.3930 0.8758
Li 0.9808 0.8375 0.3907
Co 0.3111 0.8868 0.6440
Co 0.3574 0.8819 0.0603
Co 0.5000 0.5000 0.0000
Co 0.6426 0.1181 0.9397
Co 0.6889 0.1132 0.3560
P 0.1517 0.2065 0.0171
P 0.1873 0.1811 0.3113
P 0.2639 0.5402 0.7384
P 0.4754 0.7542 0.3203
P 0.5246 0.2458 0.6797
P 0.7361 0.4598 0.2616
P 0.8127 0.8189 0.6887
P 0.8483 0.7935 0.9829
O 0.0438 0.8388 0.0780
O 0.0177 0.0847 0.3698
O 0.0692 0.4247 0.7231
O 0.0793 0.2006 0.1684
O 0.2226 0.3864 0.0274
O 0.2373 0.3534 0.4095
O 0.2580 0.6490 0.6409
O 0.2993 0.8067 0.4238
O 0.3366 0.6342 0.8890
O 0.3267 0.1303 0.6508
O 0.3265 0.0806 0.9698
O 0.3929 0.7092 0.1667
O 0.3850 0.0799 0.2609
O 0.4589 0.4231 0.6685
O 0.5411 0.5769 0.3315
O 0.6150 0.9201 0.7391
O 0.6071 0.2908 0.8333
O 0.6735 0.9194 0.0302
O 0.6733 0.8697 0.3492
O 0.6634 0.3658 0.1110
O 0.7007 0.1933 0.5762
O 0.7420 0.3510 0.3591
O 0.7627 0.6466 0.5905
O 0.7774 0.6136 0.9726
O 0.9207 0.7994 0.8316
O 0.9308 0.5753 0.2769
O 0.9823 0.9153 0.6302
O 0.9562 0.1612 0.9220
CELL_PARAMETERS angstrom
-6.2139 -1.2209 -0.5315
1.2328 -6.4662 5.3385
-2.0180 8.1726 5.4934
! - mass density (g/cm3) = 3.33
! - energy of formation from the pure elements (eV per formula unit) = -115.28
! - excess energy over the best structure of this formula in the dataset (meV/atom) = 0

2.
! Li2CoP2O7, relaxed, DFT PBE+U; values from VASP
&SYSTEM
  ibrav = 0, nat = 48, ntyp = 4
/
ATOMIC_SPECIES
Li 6.94 Li.upf
Co 58.93 Co.upf
P 30.97 P.upf
O 16.00 O.upf
ATOMIC_POSITIONS crystal
Li 0.9998 0.2311 0.0005
Li 0.4997 0.7312 0.4999
Li 0.4999 0.2689 0.0001
Li 0.9998 0.7688 0.4996
Li 0.5001 0.7311 0.9999
Li 0.0002 0.2312 0.5004
Li 0.0002 0.7689 0.9995
Li 0.5003 0.2688 0.5001
Co 0.5000 0.5000 0.5000
Co 0.5000 0.5000 0.0000
Co 0.0000 0.0000 0.0000
Co 0.0000 0.0000 0.5000
P 0.8147 0.3898 0.7503
P 0.3149 0.8897 0.2483
P 0.1856 0.3898 0.2499
P 0.6852 0.8899 0.7514
P 0.8144 0.6102 0.7501
P 0.3148 0.1101 0.2486
P 0.1853 0.6102 0.2497
P 0.6851 0.1103 0.7517
O 0.0739 0.5000 0.2494
O 0.5735 0.0001 0.7508
O 0.9261 0.5000 0.7506
O 0.4265 0.9999 0.2492
O 0.0302 0.3073 0.2497
O 0.5298 0.8073 0.7498
O 0.9703 0.3074 0.7509
O 0.4705 0.8072 0.2498
O 0.0297 0.6926 0.2491
O 0.5295 0.1928 0.7502
O 0.9698 0.6927 0.7503
O 0.4702 0.1927 0.2502
O 0.1854 0.1123 0.0662
O 0.6841 0.6123 0.5682
O 0.8142 0.1123 0.9343
O 0.3155 0.6123 0.4316
O 0.6840 0.3877 0.9311
O 0.1829 0.8877 0.4280
O 0.3162 0.3878 0.0691
O 0.8170 0.8880 0.5715
O 0.6838 0.6122 0.9309
O 0.1830 0.1120 0.4285
O 0.3160 0.6123 0.0689
O 0.8171 0.1123 0.5720
O 0.8146 0.8877 0.9338
O 0.3159 0.3877 0.4318
O 0.1858 0.8877 0.0657
O 0.6845 0.3877 0.5684
CELL_PARAMETERS angstrom
-1.1989 -6.6193 1.0230
-10.3663 3.0113 7.3623
-4.0916 -0.1213 -5.7050
! - mass density (g/cm3) = 2.63
! - energy of formation from the pure elements (eV per formula unit) = -29.72
! - excess energy over the best structure of this formula in the dataset (meV/atom) = 41

3.
! LiCo2P2O8, relaxed, DFT PBE+U; values from VASP
&SYSTEM
  ibrav = 0, nat = 26, ntyp = 4
/
ATOMIC_SPECIES
Li 6.94 Li.upf
Co 58.93 Co.upf
P 30.97 P.upf
O 16.00 O.upf
ATOMIC_POSITIONS crystal
Li 0.8384 0.3714 0.3990
Li 0.1616 0.3714 0.8990
Co 0.3443 0.4985 0.2790
Co 0.6557 0.4985 0.7790
Co 0.8485 0.9659 0.0692
Co 0.1515 0.9659 0.5692
P 0.6598 0.2514 0.0212
P 0.3402 0.2514 0.5212
P 0.8395 0.7363 0.3160
P 0.1604 0.7362 0.8159
O 0.1397 0.8917 0.9720
O 0.8603 0.8917 0.4721
O 0.4027 0.3294 0.0656
O 0.5973 0.3294 0.5656
O 0.7191 0.8148 0.1818
O 0.2809 0.8147 0.6816
O 0.8065 0.2227 0.1727
O 0.1935 0.2227 0.6727
O 0.0938 0.6673 0.2627
O 0.9062 0.6672 0.7627
O 0.6725 0.5911 0.3521
O 0.3275 0.5911 0.8521
O 0.1958 0.3727 0.4347
O 0.8042 0.3727 0.9347
O 0.3488 0.0560 0.4189
O 0.6512 0.0560 0.9190
CELL_PARAMETERS angstrom
-2.9536 -2.7170 -3.7394
6.3909 -0.9749 -4.3397
-0.0798 -6.8767 5.0611
! - mass density (g/cm3) = 2.95
! - energy of formation from the pure elements (eV per formula unit) = -28.75
! - excess energy over the best structure of this formula in the dataset (meV/atom) = 38

4.
! LiCoP3O9, relaxed, DFT PBE+U; values from VASP
&SYSTEM
  ibrav = 0, nat = 56, ntyp = 4
/
ATOMIC_SPECIES
Li 6.94 Li.upf
Co 58.93 Co.upf
P 30.97 P.upf
O 16.00 O.upf
ATOMIC_POSITIONS crystal
Li 0.3559 0.1511 0.3241
Li 0.3470 0.9322 0.5027
Li 0.6441 0.8489 0.6759
Li 0.6530 0.0678 0.4973
Co 0.0986 0.2976 0.2127
Co 0.7483 0.2304 0.2753
Co 0.2517 0.7696 0.7247
Co 0.9014 0.7024 0.7873
P 0.3066 0.4329 0.5914
P 0.5712 0.3381 0.7064
P 0.9449 0.2124 0.8385
P 0.4875 0.8497 0.1036
P 0.0022 0.6092 0.3543
P 0.5125 0.1503 0.8964
P 0.9978 0.3908 0.6457
P 0.8113 0.9115 0.0768
P 0.6934 0.5671 0.4086
P 0.4288 0.6619 0.2936
P 0.1887 0.0885 0.9232
P 0.0551 0.7876 0.1615
O 0.1551 0.7486 0.4957
O 0.7265 0.4793 0.7455
O 0.6342 0.3820 0.3556
O 0.3656 0.1870 0.9304
O 0.1510 0.3596 0.6299
O 0.4309 0.4010 0.7103
O 0.5028 0.1764 0.5559
O 0.3658 0.6180 0.6444
O 0.9554 0.2738 0.0046
O 0.0014 0.3736 0.8039
O 0.1962 0.1396 0.0906
O 0.0446 0.7262 0.9954
O 0.3670 0.8245 0.9547
O 0.8449 0.2514 0.5043
O 0.9067 0.8362 0.1700
O 0.7334 0.6820 0.5798
O 0.8038 0.8604 0.9094
O 0.2128 0.9251 0.2968
O 0.4042 0.6967 0.1393
O 0.0933 0.1638 0.8300
O 0.4972 0.8236 0.4441
O 0.6344 0.8130 0.0696
O 0.5691 0.5990 0.2897
O 0.1177 0.9024 0.8117
O 0.5596 0.0149 0.2526
O 0.9699 0.4311 0.3229
O 0.2735 0.5207 0.2545
O 0.4404 0.9851 0.7474
O 0.8823 0.0976 0.1883
O 0.8490 0.6404 0.3701
O 0.5958 0.3033 0.8607
O 0.2666 0.3180 0.4202
O 0.0301 0.5689 0.6771
O 0.9986 0.6264 0.1961
O 0.7872 0.0749 0.7032
O 0.6330 0.1755 0.0453
CELL_PARAMETERS angstrom
9.4348 0.0000 0.0000
-3.0194 8.9437 0.0000
-2.4956 -4.2537 8.3668
! - mass density (g/cm3) = 2.85
! - energy of formation from the pure elements (eV per formula unit) = -35.06
! - excess energy over the best structure of this formula in the dataset (meV/atom) = 0

5.
! LiCo3P4O15, relaxed, DFT PBE+U; values from VASP
&SYSTEM
  ibrav = 0, nat = 92, ntyp = 4
/
ATOMIC_SPECIES
Li 6.94 Li.upf
Co 58.93 Co.upf
P 30.97 P.upf
O 16.00 O.upf
ATOMIC_POSITIONS crystal
Li 0.3124 0.5422 0.5325
Li 0.6764 0.0312 0.4977
Li 0.3114 0.9607 0.0313
Li 0.1759 0.5299 0.0024
Co 0.4203 0.4907 0.8670
Co 0.3982 0.0128 0.8411
Co 0.6808 0.7434 0.7578
Co 0.1835 0.2429 0.7416
Co 0.8930 0.5081 0.6594
Co 0.9185 0.9902 0.6334
Co 0.4021 0.0050 0.3675
Co 0.3954 0.4867 0.3416
Co 0.6801 0.7557 0.2581
Co 0.1831 0.2563 0.2403
Co 0.8902 0.9923 0.1593
Co 0.9007 0.5056 0.1330
P 0.3526 0.2265 0.9508
P 0.5375 0.7619 0.9299
P 0.9145 0.4802 0.8204
P 0.9013 0.0044 0.7928
P 0.3999 0.5051 0.7061
P 0.4137 0.9804 0.6798
P 0.0309 0.2587 0.5705
P 0.8673 0.7277 0.5516
P 0.3588 0.2746 0.4516
P 0.5433 0.7356 0.4292
P 0.9106 0.0198 0.3201
P 0.9001 0.4958 0.2923
P 0.3981 0.9950 0.2065
P 0.4105 0.5202 0.1796
P 0.0361 0.2386 0.0707
P 0.8732 0.7729 0.0515
O 0.4977 0.1358 0.9898
O 0.1210 0.1992 0.9889
O 0.3841 0.3722 0.9558
O 0.4163 0.6360 0.9409
O 0.3958 0.8785 0.9190
O 0.7071 0.7528 0.8680
O 0.1024 0.5037 0.8732
O 0.3165 0.1899 0.8653
O 0.7130 0.4576 0.8663
O 0.0929 0.9795 0.8425
O 0.7016 0.0326 0.8382
O 0.8829 0.5962 0.7638
O 0.9512 0.3697 0.7618
O 0.4460 0.6109 0.7680
O 0.3651 0.3881 0.7624
O 0.8680 0.8872 0.7367
O 0.9475 0.1115 0.7319
O 0.4531 0.8687 0.7377
O 0.3803 0.0972 0.7357
O 0.2081 0.5334 0.6557
O 0.5860 0.4823 0.6549
O 0.2121 0.9567 0.6338
O 0.8173 0.6884 0.6354
O 0.6010 0.0039 0.6276
O 0.2082 0.2492 0.6302
O 0.8953 0.3754 0.5886
O 0.9069 0.1340 0.5604
O 0.8820 0.8745 0.5457
O 0.6440 0.6945 0.5092
O 0.0392 0.6497 0.5183
O 0.4916 0.3709 0.4916
O 0.1225 0.2870 0.4880
O 0.4185 0.1322 0.4551
O 0.4468 0.8678 0.4426
O 0.3886 0.6259 0.4162
O 0.7138 0.7398 0.3671
O 0.1052 0.9970 0.3705
O 0.3171 0.3106 0.3663
O 0.7165 0.0389 0.3701
O 0.0907 0.5199 0.3426
O 0.6995 0.4667 0.3371
O 0.8785 0.9041 0.2637
O 0.9465 0.1306 0.2619
O 0.4444 0.8898 0.2689
O 0.3657 0.1130 0.2624
O 0.8688 0.6133 0.2364
O 0.9471 0.3888 0.2310
O 0.4493 0.6337 0.2360
O 0.3760 0.4046 0.2359
O 0.2055 0.9663 0.1565
O 0.5833 0.0160 0.1545
O 0.2160 0.5395 0.1295
O 0.8184 0.8120 0.1348
O 0.6041 0.4958 0.1299
O 0.2154 0.2435 0.1305
O 0.8876 0.1292 0.0914
O 0.9378 0.3700 0.0580
O 0.9136 0.6281 0.0465
O 0.6448 0.7937 0.0103
O 0.0367 0.8568 0.0173
CELL_PARAMETERS angstrom
6.3509 0.0000 0.0000
-0.0115 10.4819 0.0000
-0.0672 -0.0068 17.5479
! - mass density (g/cm3) = 3.11
! - energy of formation from the pure elements (eV per formula unit) = -49.40

6.
! Li6Co3SbP6O24, relaxed, DFT PBE+U; values from VASP
&SYSTEM
  ibrav = 0, nat = 40, ntyp = 5
/
ATOMIC_SPECIES
Li 6.94 Li.upf
Co 58.93 Co.upf
Sb 121.76 Sb.upf
P 30.97 P.upf
O 16.00 O.upf
ATOMIC_POSITIONS crystal
Li 0.0314 0.0191 0.0067
Li 0.7383 0.1598 0.3513
Li 0.4717 0.4976 0.4870
Li 0.3087 0.8409 0.6392
Li 0.6406 0.3096 0.8392
Li 0.8400 0.6406 0.3102
Co 0.1449 0.1501 0.1400
Co 0.3549 0.3582 0.3531
Co 0.6470 0.6513 0.6483
Sb 0.8552 0.8519 0.8521
P 0.0518 0.7484 0.4433
P 0.4489 0.0507 0.7450
P 0.7461 0.4483 0.0477
P 0.2452 0.5391 0.9579
P 0.5436 0.9609 0.2471
P 0.9540 0.2448 0.5356
O 0.1332 0.2609 0.5058
O 0.2769 0.5230 0.1204
O 0.0555 0.9237 0.2660
O 0.5485 0.1173 0.2766
O 0.2374 0.5933 0.4345
O 0.0091 0.8057 0.6130
O 0.2642 0.0790 0.9070
O 0.4678 0.2258 0.5755
O 0.5952 0.4375 0.2398
O 0.1703 0.3905 0.9990
O 0.0950 0.7467 0.9061
O 0.3824 0.0138 0.1848
O 0.6153 0.0017 0.8102
O 0.9083 0.2599 0.0704
O 0.8094 0.6132 0.0032
O 0.4125 0.5468 0.7738
O 0.5482 0.7769 0.4142
O 0.7468 0.9045 0.0926
O 0.9652 0.1855 0.3891
O 0.7752 0.4152 0.5558
O 0.4733 0.8915 0.6959
O 0.9082 0.0924 0.7433
O 0.6877 0.4783 0.8948
O 0.8917 0.6943 0.4754
CELL_PARAMETERS angstrom
8.6464 -0.2340 -0.1235
4.3840 7.4940 -0.1386
4.4162 2.4468 7.1017
! - mass density (g/cm3) = 3.19
! - energy of formation from the pure elements (eV per formula unit) = -94.27

Sequential size of the total moment output: 15.00; 0.00; 0.97; 3.00; 9.00; 4.00 μB per formula unit